Run P
Crystalline MnCr2S4 at its relaxed geometry. Source: the Materials Project database, functional r2SCAN.

Unit cell a=7.1601 b=7.1601 c=7.1601 alpha=60.00 beta=60.00 gamma=60.00
Last column: nearest neighbours and their distance in Å.
Atoms (fractional coordinates):
S 0.8860 0.8860 0.3419  1 Mn 2.39, 3 Cr 2.42
S 0.3640 0.3640 0.9081  1 Mn 2.39, 3 Cr 2.42
Cr 0.1250 0.1250 0.1250  6 S 2.42
Cr 0.1250 0.6250 0.1250  6 S 2.42
S 0.9081 0.3640 0.3640  1 Mn 2.39, 3 Cr 2.42
S 0.3640 0.9081 0.3640  1 Mn 2.39, 3 Cr 2.42
S 0.8860 0.8860 0.8860  1 Mn 2.39, 3 Cr 2.42
Mn 0.5000 0.5000 0.5000  4 S 2.39
Cr 0.6250 0.1250 0.1250  6 S 2.42
S 0.8860 0.3419 0.8860  1 Mn 2.39, 3 Cr 2.42
Mn 0.7500 0.7500 0.7500  4 S 2.39
Cr 0.1250 0.1250 0.6250  6 S 2.42
S 0.3640 0.3640 0.3640  1 Mn 2.39, 3 Cr 2.42
S 0.3419 0.8860 0.8860  1 Mn 2.39, 3 Cr 2.42

Values from the calculation:
Calculated density in g/cm³: 3.67
SG: No. 227
Magnetization in μB/f.u.: 11.00

---

Run Q
Crystalline MnCr2S4 at its relaxed geometry. Source: the Materials Project database, functional r2SCAN.

Unit cell a=6.8555 b=6.8555 c=6.0691 alpha=63.67 beta=63.67 gamma=29.72
Last column: nearest neighbours and their distance in Å.
Atoms (fractional coordinates):
Cr 0.2595 0.2595 0.7301  6 S 2.38-2.49
S 0.3614 0.3614 0.9789  3 Cr 2.44-2.49, 2 Mn 2.59
S 0.1342 0.1342 0.5415  3 Cr 2.38-2.41, 1 Mn 2.52
S 0.8658 0.8658 0.4585  3 Cr 2.38-2.41, 1 Mn 2.52
S 0.6386 0.6386 0.0211  3 Cr 2.44-2.49, 2 Mn 2.59
Cr 0.7405 0.7405 0.2699  6 S 2.38-2.49
Mn 0.0000 0.0000 0.0000  6 S 2.52-2.59

Values from the calculation:
Calculated density in g/cm³: 3.80
SG: No. 12
Magnetization in μB/f.u.: 11.00

---

Which structure is most stable, and how do the rest compare? From most to least stable: run P, run Q.